No. 1
Entry from the Materials Project: an optimized crystal structure of Mo3WSe6S2 (GGA-PBE).

Results
**Formation energy from the elements**: -0.766 eV per atom
**Excess energy over the best structure of this formula in the dataset**: 17 meV per atom
**Crystal system**: trigonal
**Magnetization**: 0.0 Bohr magnetons per cell

Geometry as CIF:
```
data_Mo3WSe6S2
_symmetry_space_group_name_H-M 'P 3 m 1'
_symmetry_Int_Tables_number 156
_symmetry_space_group_name_Hall 'P 3 -2"'
_cell_length_a 3.2916
_cell_length_b 3.2916
_cell_length_c 37.4000
_cell_angle_alpha 90.00
_cell_angle_beta 90.00
_cell_angle_gamma 120.00
loop_
_atom_site_label
_atom_site_fract_x
_atom_site_fract_y
_atom_site_fract_z
Mo1 0.0000 0.0000 0.0000
Mo2 0.0000 0.0000 0.3757
Mo3 0.3333 0.6667 0.1879
W1 0.3333 0.6667 0.5637
Se1 0.0000 0.0000 0.1428
Se2 0.0000 0.0000 0.2330
Se3 0.0000 0.0000 0.5183
Se4 0.0000 0.0000 0.6090
Se5 0.3333 0.6667 0.3307
Se6 0.3333 0.6667 0.4208
S1 0.3333 0.6667 0.0410
S2 0.3333 0.6667 0.9590
```

=====

No. 2
Entry from the Materials Project: an optimized crystal structure of Li5Nb3OF18 (GGA-PBE).

Results
**Formation energy from the elements**: -3.250 eV per atom
**Crystal system**: tetragonal
**Magnetization**: 0.0 Bohr magnetons per cell

Geometry as CIF:
```
data_Li5Nb3OF18
_symmetry_space_group_name_H-M 'I 4 c m'
_symmetry_Int_Tables_number 108
_symmetry_space_group_name_Hall 'I 4 -2c'
_cell_length_a 12.931
_cell_length_b 12.931
_cell_length_c 8.252
_cell_angle_alpha 90.00
_cell_angle_beta 90.00
_cell_angle_gamma 90.00
loop_
_atom_site_label
_atom_site_fract_x
_atom_site_fract_y
_atom_site_fract_z
Li1 0.000 0.500 0.000
Li2 0.083 0.240 0.378
Nb1 0.000 0.000 0.124
Nb2 0.168 0.332 0.889
O1 0.000 0.000 0.341
F1 0.012 0.350 0.929
F2 0.023 0.148 0.086
F3 0.119 0.381 0.682
F4 0.120 0.200 0.807
F5 0.163 0.337 0.126
F6 0.222 0.278 0.452
```